1.
TbLu after structural relaxation. Source: the Materials Project database, functional meta-GGA r2SCAN.

Calculated values
Magnetic moment   0.0 μB per formula unit
Electronic total energy   -34.65 eV per atom

a = 3.5860 Å, b = 3.5860 Å, c = 5.5323 Å
α = 90.00°, β = 90.00°, γ = 120.00°
Space group P-6m2 (No. 187)
Asymmetric unit:
Tb1 0.0000 0.0000 0.0000 (multiplicity 1)
Lu1 0.3333 0.6667 0.5000 (multiplicity 1)


2.
HfCo after structural relaxation. Source: the Materials Project database, functional meta-GGA r2SCAN.

Calculated values
Magnetic moment   0.3 μB per formula unit
Electronic total energy   -29.48 eV per atom

a = 3.1660 Å, b = 9.3976 Å, c = 4.1800 Å
α = 90.00°, β = 90.00°, γ = 90.00°
Space group Cmcm (No. 63)
Asymmetric unit:
Hf1 0.0000 0.1405 0.2500 (multiplicity 4)
Co1 0.0000 0.4152 0.2500 (multiplicity 4)


3.
FeOF after structural relaxation. Source: the Materials Project database, functional meta-GGA r2SCAN.

Calculated values
Magnetic moment   5.0 μB per formula unit
Electronic total energy   -9.82 eV per atom

a = 9.3983 Å, b = 9.3983 Å, c = 6.1047 Å
α = 90.00°, β = 90.00°, γ = 90.00°
Space group I4_1/a (No. 88, origin choice 2)
Asymmetric unit:
Fe1 0.0083 0.0123 0.2338 (multiplicity 16)
O1 0.0954 0.4023 0.9944 (multiplicity 16)
F1 0.0984 0.4038 0.5042 (multiplicity 16)


4.
SrMgHg2 after structural relaxation. Source: the Materials Project database, functional meta-GGA r2SCAN.

Calculated values
Magnetic moment   0.0 μB per formula unit
Electronic total energy   -29.92 eV per atom

a = 7.4602 Å, b = 7.4602 Å, c = 7.4602 Å
α = 90.00°, β = 90.00°, γ = 90.00°
Space group Fm-3m (No. 225)
Asymmetric unit:
Sr1 0.0000 0.0000 0.0000 (multiplicity 4)
Mg1 0.0000 0.0000 0.5000 (multiplicity 4)
Hg1 0.2500 0.2500 0.2500 (multiplicity 8)


5.
CeNiGe after structural relaxation. Source: the Materials Project database, functional meta-GGA r2SCAN.

Calculated values
Magnetic moment   0.5 μB per formula unit
Electronic total energy   -19.64 eV per atom

a = 7.2341 Å, b = 4.3173 Å, c = 7.1504 Å
α = 90.00°, β = 90.00°, γ = 90.00°
Space group Pnma (No. 62)
Asymmetric unit:
Ce1 0.0144 0.2500 0.2057 (multiplicity 4)
Ni1 0.1957 0.7500 0.4205 (multiplicity 4)
Ge1 0.1921 0.2500 0.5912 (multiplicity 4)


6.
Tb4MgCo after structural relaxation. Source: the Materials Project database, functional meta-GGA r2SCAN.

Calculated values
Magnetic moment   0.0 μB per formula unit
Electronic total energy   -23.82 eV per atom

a = 13.5325 Å, b = 13.5325 Å, c = 13.5325 Å
α = 90.00°, β = 90.00°, γ = 90.00°
Space group F-43m (No. 216)
Asymmetric unit:
Tb1 0.0000 0.0000 0.1864 (multiplicity 24)
Tb2 0.0619 0.2500 0.2500 (multiplicity 24)
Tb3 0.1561 0.1561 0.6561 (multiplicity 16)
Mg1 0.0787 0.0787 0.4213 (multiplicity 16)
Co1 0.1405 0.1405 0.8595 (multiplicity 16)


7.
Ge after structural relaxation. Source: the Materials Project database, functional meta-GGA r2SCAN.

Calculated values
Magnetic moment   0.0 μB per formula unit
Polymorph energy (0 for the lowest one)   17 meV/atom

a = 3.9976 Å, b = 3.9976 Å, c = 6.5994 Å
α = 90.00°, β = 90.00°, γ = 120.00°
Space group P6_3/mmc (No. 194)
Asymmetric unit:
Ge1 0.3333 0.6667 0.0629 (multiplicity 4)


8.
Pr9Al5S21 after structural relaxation. Source: the Materials Project database, functional meta-GGA r2SCAN.

Calculated values
Magnetic moment   0.0 μB per formula unit
Electronic total energy   -15.35 eV per atom

a = 17.3841 Å, b = 17.3841 Å, c = 18.4153 Å
α = 90.00°, β = 90.00°, γ = 120.00°
Space group R3 (No. 146, hexagonal axes)
Asymmetric unit:
Pr1 0.0280 0.2021 0.0000 (multiplicity 9)
Pr2 0.0276 0.2039 0.3443 (multiplicity 9)
Pr3 0.0288 0.1993 0.6660 (multiplicity 9)
Pr4 0.1571 0.6952 0.5089 (multiplicity 9)
Pr5 0.1601 0.6893 0.8309 (multiplicity 9)
Pr6 0.1621 0.6991 0.1704 (multiplicity 9)
Al1 0.0000 0.0000 0.2640 (multiplicity 3)
Al2 0.0000 0.0000 0.4463 (multiplicity 3)
Al3 0.0000 0.0000 0.7620 (multiplicity 3)
Al4 0.0000 0.0000 0.9443 (multiplicity 3)
Al5 0.0021 0.6716 0.3105 (multiplicity 9)
Al6 0.0066 0.3359 0.8105 (multiplicity 9)
S1 0.9998 0.3331 0.2642 (multiplicity 9)
S2 0.9998 0.6687 0.4309 (multiplicity 9)
S3 0.0108 0.5547 0.5936 (multiplicity 9)
S4 0.0120 0.1224 0.2020 (multiplicity 9)
S5 0.0157 0.1175 0.8586 (multiplicity 9)
S6 0.0196 0.1291 0.5126 (multiplicity 9)
S7 0.0204 0.5558 0.9299 (multiplicity 9)
S8 0.0255 0.5655 0.2627 (multiplicity 9)
S9 0.1174 0.1025 0.3612 (multiplicity 9)
S10 0.1240 0.1087 0.7003 (multiplicity 9)
S11 0.1240 0.3445 0.0972 (multiplicity 9)
S12 0.1260 0.3593 0.4302 (multiplicity 9)
S13 0.1278 0.1102 0.0107 (multiplicity 9)
S14 0.1312 0.3539 0.7590 (multiplicity 9)


9.
UF5 after structural relaxation. Source: the Materials Project database, functional meta-GGA r2SCAN.

Calculated values
Magnetic moment   1.0 μB per formula unit
Electronic total energy   -19.70 eV per atom

a = 6.4169 Å, b = 6.4169 Å, c = 4.4779 Å
α = 90.00°, β = 90.00°, γ = 90.00°
Space group I4/m (No. 87)
Asymmetric unit:
U1 0.0000 0.0000 0.0000 (multiplicity 2)
F1 0.0000 0.0000 0.5000 (multiplicity 2)
F2 0.1138 0.7064 0.0000 (multiplicity 8)


10.
CsPbBr3 after structural relaxation. Source: the Materials Project database, functional meta-GGA r2SCAN.

Calculated values
Magnetic moment   0.0 μB per formula unit
Electronic total energy   -25.73 eV per atom

a = 8.4538 Å, b = 11.8789 Å, c = 8.1011 Å
α = 90.00°, β = 90.00°, γ = 90.00°
Space group Pnma (No. 62)
Asymmetric unit:
Cs1 0.0602 0.2500 0.0195 (multiplicity 4)
Pb1 0.0000 0.0000 0.5000 (multiplicity 4)
Br1 0.0063 0.7500 0.4403 (multiplicity 4)
Br2 0.2010 0.5317 0.8028 (multiplicity 8)


11.
Cr2NiO4 after structural relaxation. Source: the Materials Project database, functional meta-GGA r2SCAN.

Calculated values
Magnetic moment   8.0 μB per formula unit
Electronic total energy   -11.44 eV per atom

a = 8.2755 Å, b = 8.3953 Å, c = 5.8464 Å
α = 90.00°, β = 134.46°, γ = 90.00°
Space group Cc (No. 9)
Asymmetric unit:
Cr1 0.0000 0.0003 0.0000 (multiplicity 4)
Cr2 0.2515 0.2508 0.0020 (multiplicity 4)
Ni1 0.4958 0.1236 0.7482 (multiplicity 4)
O1 0.0024 0.2379 0.9832 (multiplicity 4)
O2 0.0060 0.2368 0.5263 (multiplicity 4)
O3 0.2268 0.0155 0.9744 (multiplicity 4)
O4 0.2710 0.4896 0.0223 (multiplicity 4)


12.
TlGaSe2 after structural relaxation. Source: the Materials Project database, functional meta-GGA r2SCAN.

Calculated values
Magnetic moment   0.0 μB per formula unit
Electronic total energy   -24.00 eV per atom

a = 10.8540 Å, b = 10.8505 Å, c = 15.8241 Å
α = 90.00°, β = 100.11°, γ = 90.00°
Space group C2/c (No. 15)
Asymmetric unit:
Tl1 0.0551 0.2088 0.3927 (multiplicity 8)
Tl2 0.2316 0.4249 0.1174 (multiplicity 8)
Ga1 0.1003 0.1869 0.6635 (multiplicity 8)
Ga2 0.1462 0.4343 0.8381 (multiplicity 8)
Se1 0.0000 0.0479 0.7500 (multiplicity 4)
Se2 0.0000 0.4325 0.2500 (multiplicity 4)
Se3 0.0529 0.3038 0.9327 (multiplicity 8)
Se4 0.2105 0.0688 0.5701 (multiplicity 8)
Se5 0.2407 0.1898 0.2488 (multiplicity 8)